This record from Materials Project describes a relaxed Li2Mg crystal. The functional is meta-GGA r2SCAN.

Results
symmetry	P-62m (189)

Lattice parameters (Å, degrees): 5.2965 5.2965 5.0627 90.00 90.00 120.00
Closest atoms and distances in Å follow each position.
Positions (direct):
Li 0.0000 0.0000 0.5000  6 Mg 3.06, 6 Li 3.09
Li 0.0000 0.6669 0.0000  8 Li 3.06-3.09, 4 Mg 3.09
Li 0.3331 0.3331 0.0000  8 Li 3.06-3.09, 4 Mg 3.09
Li 0.6669 0.0000 0.0000  8 Li 3.06-3.09, 4 Mg 3.09
Mg 0.3333 0.6667 0.5000  3 Mg 3.06, 9 Li 3.06-3.09
Mg 0.6667 0.3333 0.5000  3 Mg 3.06, 9 Li 3.06-3.09

This record from Materials Project describes a relaxed U crystal. The functional is meta-GGA r2SCAN.

Results
ΔE to the lowest computed polymorph	0.117	eV per atom

Lattice parameters (Å, degrees): 3.7449 3.7449 5.3022 90.00 90.00 90.00
Closest atoms and distances in Å follow each position.
Positions (direct):
U 0.0000 0.5000 0.5000  6 U 2.65
U 0.0000 0.5000 0.0000  6 U 2.65
U 0.5000 0.0000 0.5000  6 U 2.65
U 0.5000 0.0000 0.0000  6 U 2.65

This record from Materials Project describes a relaxed NpAl8Fe4 crystal. The functional is meta-GGA r2SCAN.

Results
symmetry	I4/mmm (139)

Lattice parameters (Å, degrees): 6.6725 6.6725 6.6725 98.01 98.01 136.16
Closest atoms and distances in Å follow each position.
Positions (direct):
Fe 0.5000 0.5000 0.5000  2 Fe 2.49, 8 Al 2.53-2.65
Fe 0.0000 0.5000 0.0000  2 Fe 2.49, 8 Al 2.53-2.65
Fe 0.5000 0.0000 0.0000  2 Fe 2.49, 8 Al 2.53-2.65
Fe 0.0000 0.0000 0.5000  2 Fe 2.49, 8 Al 2.53-2.65
Al 0.0000 0.6571 0.6571  4 Fe 2.65, 5 Al 2.70-2.77
Al 0.7253 0.5000 0.2253  4 Fe 2.53, 6 Al 2.70-2.79
Al 0.6571 0.0000 0.6571  4 Fe 2.65, 5 Al 2.70-2.77
Al 0.5000 0.2747 0.7747  4 Fe 2.53, 6 Al 2.70-2.79
Al 0.3429 0.0000 0.3429  4 Fe 2.65, 5 Al 2.70-2.77
Al 0.2747 0.5000 0.7747  4 Fe 2.53, 6 Al 2.70-2.79
Al 0.0000 0.3429 0.3429  4 Fe 2.65, 5 Al 2.70-2.77
Al 0.5000 0.7253 0.2253  4 Fe 2.53, 6 Al 2.70-2.79
Np 0.0000 0.0000 0.0000  12 Al 3.00-3.18, 8 Fe 3.34

This record from Materials Project describes a relaxed PrSe crystal. The functional is meta-GGA r2SCAN.

Results
symmetry	Fm-3m (225)

Lattice parameters (Å, degrees): 4.2624 4.2624 4.2624 60.00 60.00 60.00
Closest atoms and distances in Å follow each position.
Positions (direct):
Pr 0.0000 0.0000 0.0000  6 Se 3.01
Se 0.5000 0.5000 0.5000  6 Pr 3.01

This record from Materials Project describes a relaxed GdCrB4 crystal. The functional is meta-GGA r2SCAN.

Results
symmetry	Pbam (55)

Lattice parameters (Å, degrees): 5.9617 11.5278 3.4605 90.00 90.00 90.00
Closest atoms and distances in Å follow each position.
Positions (direct):
B 0.1132 0.5466 0.5000  3 B 1.72-1.74
B 0.2199 0.8167 0.5000  3 B 1.81-1.87
B 0.3608 0.4676 0.5000  3 B 1.73-1.82
B 0.2801 0.3167 0.5000  3 B 1.81-1.87
B 0.1392 0.9676 0.5000  3 B 1.73-1.82
B 0.3868 0.0466 0.5000  3 B 1.72-1.74
B 0.9756 0.3097 0.5000  3 B 1.74-1.87
B 0.6132 0.9534 0.5000  3 B 1.72-1.74
B 0.5244 0.8097 0.5000  3 B 1.74-1.87
B 0.7801 0.1833 0.5000  3 B 1.81-1.87
B 0.7199 0.6833 0.5000  3 B 1.81-1.87
B 0.6392 0.5324 0.5000  3 B 1.73-1.82
B 0.0244 0.6903 0.5000  3 B 1.74-1.87
B 0.8868 0.4534 0.5000  3 B 1.72-1.74
B 0.4756 0.1903 0.5000  3 B 1.74-1.87
B 0.8608 0.0324 0.5000  3 B 1.73-1.82
Cr 0.3765 0.9192 0.0000  10 B 2.27-2.32, 1 Cr 2.37
Cr 0.6235 0.0808 0.0000  10 B 2.27-2.32, 1 Cr 2.37
Cr 0.1235 0.4192 0.0000  10 B 2.27-2.32, 1 Cr 2.37
Cr 0.8765 0.5808 0.0000  10 B 2.27-2.32, 1 Cr 2.37
Gd 0.3753 0.6510 0.0000  14 B 2.62-2.75
Gd 0.6247 0.3490 0.0000  14 B 2.62-2.75
Gd 0.1247 0.1510 0.0000  14 B 2.62-2.75
Gd 0.8753 0.8490 0.0000  14 B 2.62-2.75

This record from Materials Project describes a relaxed TmGaO3 crystal. The functional is meta-GGA r2SCAN.

Results
symmetry	P6_3cm (185)

Lattice parameters (Å, degrees): 5.9557 5.9557 11.5953 90.00 90.00 120.00
Closest atoms and distances in Å follow each position.
Positions (direct):
Tm 0.3333 0.6667 0.2338  7 O 2.22-2.47
Tm 0.6667 0.3333 0.7338  7 O 2.22-2.47
Tm 0.6667 0.3333 0.2338  7 O 2.22-2.47
Tm 0.0000 0.0000 0.2755  7 O 2.23-2.34
Tm 0.3333 0.6667 0.7338  7 O 2.22-2.47
Tm 0.0000 0.0000 0.7755  7 O 2.23-2.34
Ga 0.0000 0.6660 0.5009  5 O 1.89-2.01
Ga 0.0000 0.3340 0.0009  5 O 1.89-2.01
Ga 0.6660 0.0000 0.5009  5 O 1.89-2.01
Ga 0.3340 0.0000 0.0009  5 O 1.89-2.01
Ga 0.3340 0.3340 0.5009  5 O 1.89-2.01
Ga 0.6660 0.6660 0.0009  5 O 1.89-2.01
O 0.0000 0.0000 0.4774  3 Ga 2.01
O 0.0000 0.0000 0.9774  3 Ga 2.01
O 0.3609 0.0000 0.8385  1 Ga 1.89
O 0.3055 0.3055 0.6646  1 Ga 1.91
O 0.3609 0.3609 0.3385  1 Ga 1.89
O 0.0000 0.6945 0.6646  1 Ga 1.91
O 0.6945 0.0000 0.6646  1 Ga 1.91
O 0.6391 0.0000 0.3385  1 Ga 1.89
O 0.3333 0.6667 0.0208  3 Ga 2.00
O 0.0000 0.3609 0.8385  1 Ga 1.89
O 0.6667 0.3333 0.5208  3 Ga 2.00
O 0.3333 0.6667 0.5208  3 Ga 2.00
O 0.6391 0.6391 0.8385  1 Ga 1.89
O 0.0000 0.3055 0.1646  1 Ga 1.91
O 0.6667 0.3333 0.0208  3 Ga 2.00
O 0.3055 0.0000 0.1646  1 Ga 1.91
O 0.6945 0.6945 0.1646  1 Ga 1.91
O 0.0000 0.6391 0.3385  1 Ga 1.89

| no. | final energy (Ry/atom) |
| --- | --- |
| 1 | -0.221 |
| 2 | -5.867 |
| 3 | -1.124 |
| 4 | -1.761 |
| 5 | -1.121 |
| 6 | -1.174 |